Entry 1:
Entry from the Materials Project: a geometry-optimized Mg2IrN3 structure (PBE).

Properties
The energy comes out at -75.3 eV/cell. Its calculated formation energy is -0.277 eV/atom. The calculation puts the volume at 12.46 Å³ per atom.

Cell: 6.2637 6.3083 4.3789 Å, 90.00 90.00 120.24°
Last column: nearest neighbours and their distance in Å.
Atoms (fractional coordinates):
N1 0.0000 0.3727 0.4020  2 Ir 1.93-2.04
N2 0.0000 0.6273 0.9020  2 Ir 1.93-2.04
Ir1 0.0000 0.3230 0.9414  4 N 1.93-2.04
Mg1 0.3377 0.3339 0.4331  5 N 2.15-2.25
N3 0.3128 0.9821 0.4312  1 Ir 1.94, 2 Mg 2.15
N4 0.6872 0.0179 0.9312  1 Ir 1.94, 2 Mg 2.15
Mg2 0.6623 0.6661 0.9331  5 N 2.15-2.25
Mg3 0.3377 0.0038 0.9331  5 N 2.15-2.25
N5 0.6872 0.6692 0.4312  1 Ir 1.94, 2 Mg 2.15
N6 0.3128 0.3308 0.9312  1 Ir 1.94, 2 Mg 2.15
Ir2 0.0000 0.6770 0.4414  4 N 1.93-2.04
Mg4 0.6623 0.9962 0.4331  5 N 2.15-2.25

---

Entry 2:
Entry from the Materials Project: a geometry-optimized Nd2MgIrO6 structure (PBE).

Properties
The energy comes out at -148.8 eV/cell. Its calculated formation energy is -2.887 eV/atom. The calculation puts the volume at 12.46 Å³ per atom.

Cell: 5.7305 5.5225 9.6271 Å, 54.88 90.00 90.00°
Last column: nearest neighbours and their distance in Å.
Atoms (fractional coordinates):
O1 0.2050 0.2537 0.0503  1 Ir 2.05, 1 Mg 2.09
O2 0.7050 0.7463 0.4497  1 Ir 2.05, 1 Mg 2.09
Nd1 0.9421 0.2351 0.2506  6 O 2.37-2.62
O3 0.0290 0.6526 0.2520  1 Ir 2.03, 1 Mg 2.06
O4 0.7985 0.1515 0.5498  1 Ir 2.05, 1 Mg 2.08
O5 0.2015 0.8485 0.4502  1 Ir 2.05, 1 Mg 2.08
Ir1 0.5000 0.5000 0.0000  6 O 2.03-2.05
O6 0.4710 0.6526 0.7520  1 Ir 2.03, 1 Mg 2.06
O7 0.2950 0.2537 0.5503  1 Ir 2.05, 1 Mg 2.09
Mg1 0.5000 0.0000 0.5000  6 O 2.06-2.09
Mg2 0.0000 0.0000 0.0000  6 O 2.06-2.09
O8 0.2985 0.8485 0.9502  1 Ir 2.05, 1 Mg 2.08
O9 0.9710 0.3474 0.7480  1 Ir 2.03, 1 Mg 2.06
Nd2 0.0579 0.7649 0.7494  6 O 2.37-2.62
Nd3 0.5579 0.2351 0.7506  6 O 2.37-2.62
O10 0.5290 0.3474 0.2480  1 Ir 2.03, 1 Mg 2.06
O11 0.7950 0.7463 0.9497  1 Ir 2.05, 1 Mg 2.09
Ir2 0.0000 0.5000 0.5000  6 O 2.03-2.05
Nd4 0.4421 0.7649 0.2494  6 O 2.37-2.62
O12 0.7015 0.1515 0.0498  1 Ir 2.05, 1 Mg 2.08

---

Entry 3:
Entry from the Materials Project: a geometry-optimized Mg2NiIr structure (PBE).

Properties
The energy comes out at -18.9 eV/cell. Its calculated formation energy is -0.262 eV/atom. The calculation puts the volume at 14.54 Å³ per atom.

Cell: 4.3488 4.3488 4.3488 Å, 60.00 60.00 60.00°
Last column: nearest neighbours and their distance in Å.
Atoms (fractional coordinates):
Ir1 0.5000 0.5000 0.5000  8 Mg 2.66
Mg1 0.7500 0.7500 0.7500  4 Ir 2.66, 4 Ni 2.66
Ni1 0.0000 0.0000 0.0000  8 Mg 2.66
Mg2 0.2500 0.2500 0.2500  4 Ir 2.66, 4 Ni 2.66

---

Entry 4:
Entry from the Materials Project: a geometry-optimized MgIrO3 structure (PBE).

Properties
The energy comes out at -29.2 eV/cell. Its calculated formation energy is -1.194 eV/atom. The calculation puts the volume at 12.06 Å³ per atom.

Cell: 3.9214 3.9214 3.9214 Å, 90.00 90.00 90.00°
Last column: nearest neighbours and their distance in Å.
Atoms (fractional coordinates):
O1 0.5000 0.0000 0.5000  2 Ir 1.96
Ir1 0.5000 0.5000 0.5000  6 O 1.96
O2 0.0000 0.5000 0.5000  2 Ir 1.96
O3 0.5000 0.5000 0.0000  2 Ir 1.96
Mg1 0.0000 0.0000 0.0000  12 O 2.77

---

Entry 5:
Entry from the Materials Project: a geometry-optimized Sm2MgIrO6 structure (PBE).

Properties
The energy comes out at -149.2 eV/cell. Its calculated formation energy is -2.914 eV/atom. The calculation puts the volume at 12.20 Å³ per atom.

Cell: 5.7602 5.4280 9.4854 Å, 55.33 90.00 90.00°
Last column: nearest neighbours and their distance in Å.
Atoms (fractional coordinates):
O1 0.3017 0.7507 0.0544  1 Ir 2.06, 1 Mg 2.08
Sm1 0.9319 0.7312 0.7491  6 O 2.32-2.56
O2 0.1983 0.7507 0.5544  1 Ir 2.06, 1 Mg 2.08
Sm2 0.4319 0.2688 0.7509  6 O 2.32-2.56
Sm3 0.0681 0.2688 0.2509  6 O 2.32-2.56
O3 0.6983 0.2493 0.9456  1 Ir 2.06, 1 Mg 2.08
O4 0.2008 0.3658 0.9451  1 Ir 2.05, 1 Mg 2.09
O5 0.7992 0.6342 0.0549  1 Ir 2.05, 1 Mg 2.09
Ir1 0.5000 0.5000 0.0000  6 O 2.03-2.06
Mg1 0.0000 0.0000 0.0000  6 O 2.06-2.09
Sm4 0.5681 0.7312 0.2491  6 O 2.32-2.56
O6 0.2992 0.3658 0.4451  1 Ir 2.05, 1 Mg 2.09
O7 0.9659 0.8537 0.2522  1 Ir 2.03, 1 Mg 2.06
O8 0.0341 0.1463 0.7478  1 Ir 2.03, 1 Mg 2.06
O9 0.7008 0.6342 0.5549  1 Ir 2.05, 1 Mg 2.09
O10 0.8017 0.2493 0.4456  1 Ir 2.06, 1 Mg 2.08
Ir2 0.0000 0.5000 0.5000  6 O 2.03-2.06
O11 0.4659 0.1463 0.2478  1 Ir 2.03, 1 Mg 2.06
Mg2 0.5000 0.0000 0.5000  6 O 2.06-2.09
O12 0.5341 0.8537 0.7522  1 Ir 2.03, 1 Mg 2.06

---

Entry 6:
Entry from the Materials Project: a geometry-optimized Mg8P8Ir23 structure (PBE).

Properties
The energy comes out at -275.3 eV/cell. Its calculated formation energy is -0.408 eV/atom. The calculation puts the volume at 15.05 Å³ per atom.

Cell: 3.9953 8.6129 17.0533 Å, 89.96 90.00 90.00°
Last column: nearest neighbours and their distance in Å.
Atoms (fractional coordinates):
Ir1 0.0000 0.0004 0.7375  3 P 2.31-2.46
Ir2 0.5000 0.2129 0.5466  2 P 2.45, 2 Ir 2.71
Ir3 0.0000 0.1010 0.1040  1 P 2.32
Mg1 0.5000 0.0932 0.3930  9 Ir 2.77-3.10, 4 P 2.79-2.80
P1 0.0000 0.8669 0.3802  5 Ir 2.31-2.45
P2 0.0000 0.1331 0.6198  5 Ir 2.31-2.45
Ir4 0.0000 0.5000 0.0000  2 P 2.37
Ir5 0.5000 0.9033 0.1529  2 P 2.43
Ir6 0.0000 0.8990 0.8960  1 P 2.32
Mg2 0.5000 0.4070 0.8907  9 Ir 2.77-3.08, 4 P 2.78-2.79
Mg3 0.5000 0.7091 0.2943  4 P 2.74-2.83, 7 Ir 2.80-2.93
Mg4 0.5000 0.7897 0.7905  4 P 2.72-2.84, 7 Ir 2.82-2.88
Ir7 0.0000 0.1963 0.9492  1 P 2.36
Ir8 0.0000 0.5005 0.7616  3 P 2.29-2.45
P3 0.0000 0.2585 0.3150  5 Ir 2.37-2.45
Mg5 0.5000 0.5930 0.1093  9 Ir 2.77-3.08, 4 P 2.78-2.79
P4 0.0000 0.6321 0.8782  5 Ir 2.29-2.45
Ir9 0.5000 0.0000 0.0000  12 Ir 2.67-2.81
Ir10 0.0000 0.6907 0.5487  1 P 2.37, 1 Ir 2.63
Ir11 0.5000 0.7871 0.4534  2 P 2.45, 2 Ir 2.71
Ir12 0.0000 0.4053 0.6036  1 P 2.36, 1 Ir 2.63
Mg6 0.5000 0.2103 0.2095  4 P 2.72-2.84, 7 Ir 2.82-2.88
Ir13 0.0000 0.9996 0.2625  3 P 2.31-2.46
Ir14 0.0000 0.8037 0.0508  1 P 2.36
Ir15 0.0000 0.5947 0.3964  1 P 2.36, 1 Ir 2.63
Mg7 0.5000 0.9068 0.6070  9 Ir 2.77-3.10, 4 P 2.79-2.80
Ir16 0.0000 0.4995 0.2384  3 P 2.29-2.45
P5 0.0000 0.3679 0.1218  5 Ir 2.29-2.45
Ir17 0.0000 0.3093 0.4513  1 P 2.37, 1 Ir 2.63
Ir18 0.5000 0.2957 0.0476  2 P 2.45, 1 Ir 2.67
Ir19 0.5000 0.7043 0.9524  2 P 2.45, 1 Ir 2.67
P6 0.0000 0.2433 0.8127  5 Ir 2.36-2.46
Mg8 0.5000 0.2909 0.7057  4 P 2.74-2.83, 7 Ir 2.80-2.93
Ir20 0.0000 0.0000 0.5000  2 P 2.34
P7 0.0000 0.7415 0.6850  5 Ir 2.37-2.45
Ir21 0.5000 0.5982 0.6524  2 P 2.41
Ir22 0.5000 0.4018 0.3476  2 P 2.41
P8 0.0000 0.7567 0.1873  5 Ir 2.36-2.46
Ir23 0.5000 0.0967 0.8471  2 P 2.43